Density functional theory data (PBE with a Hubbard U) for a relaxed Na3Mo9PH10O34 crystal.

Lattice parameters (Å, degrees): 10.5373 14.4668 14.4668 120.00 90.00 90.00
Closest atoms and distances in Å follow each position.
Fractional coordinates of all 114 atoms:
H1 0.6074 0.7418 0.9846  2 O 2.56-2.79, 1 Na 2.56
Na1 0.7414 0.1953 0.3760  3 O 2.32-2.38, 1 H 2.56
Mo1 0.3368 0.0547 0.5894  3 O 1.72-1.89
H2 0.9335 0.9189 0.9355  1 H 1.07
O1 0.3525 0.0183 0.4447  2 Mo 1.89-1.97
O2 0.0511 0.3876 0.2710  1 Mo 1.75
Mo2 0.5695 0.7302 0.4918  3 O 1.73-1.86
H3 0.1074 0.9846 0.2427  2 O 2.56-2.79, 1 Na 2.56
H4 0.4293 0.0000 0.0000  3 H 1.07
H5 0.6521 0.9861 0.1849  1 O 2.79, 1 Na 3.05
H6 0.1521 0.8012 0.9861  1 O 2.79, 1 Na 3.05
O3 0.4553 0.4109 0.1734  1 Mo 1.73
O4 0.6769 0.6239 0.5118  2 Mo 1.83-2.04
O5 0.9553 0.5891 0.8266  1 Mo 1.73
Mo3 0.8850 0.7266 0.1150  2 O 1.73-1.75
O6 0.3992 0.4137 0.6320  1 P 1.55
O7 0.8202 0.5782 0.6472  1 Mo 1.72
Mo4 0.0695 0.4918 0.7616  3 O 1.73-1.86
Mo5 0.8368 0.4653 0.0547  3 O 1.72-1.89
Na2 0.2414 0.3760 0.1807  3 O 2.32-2.38, 1 H 2.56
O8 0.1769 0.5118 0.8879  2 Mo 1.83-2.04
P1 0.8544 0.6667 0.3333  4 O 1.55-1.57
O9 0.8807 0.8601 0.2568  2 Mo 1.99, 1 O 2.16
O10 0.0018 0.2123 0.5875  2 Mo 1.86-2.03
H7 0.9335 0.0166 0.0811  1 H 1.07
O11 0.3525 0.5553 0.5736  2 Mo 1.89-1.97
H8 0.6074 0.2427 0.2582  2 O 2.56-2.79, 1 Na 2.56
Mo6 0.3850 0.1150 0.3885  2 O 1.73-1.75
O12 0.0237 0.9149 0.3804  1 Mo 2.02, 1 O 2.16
O13 0.5018 0.7877 0.4125  2 Mo 1.86-2.03
Mo7 0.3850 0.2734 0.8850  2 O 1.73-1.75
O14 0.5237 0.0851 0.6196  1 Mo 2.02, 1 O 2.16
O15 0.3435 0.0298 0.2563  1 Mo 1.73
Mo8 0.8850 0.3885 0.2734  2 O 1.73-1.75
Mo9 0.3850 0.6115 0.7266  2 O 1.73-1.75
Mo10 0.3368 0.5347 0.9453  3 O 1.72-1.89
O16 0.0237 0.6196 0.5345  1 Mo 2.02, 1 O 2.16
H9 0.4335 0.9834 0.9189  1 H 1.07
O17 0.8992 0.7817 0.4137  1 P 1.55
O18 0.5018 0.6248 0.2123  2 Mo 1.86-2.03
O19 0.8807 0.7432 0.6033  2 Mo 1.99, 1 O 2.16
O20 0.8435 0.9702 0.7437  1 Mo 1.73
Na3 0.2414 0.8047 0.6240  3 O 2.32-2.38, 1 H 2.56
O21 0.8435 0.2563 0.2265  1 Mo 1.73
O22 0.3202 0.6472 0.0691  1 Mo 1.72
Mo11 0.8850 0.8850 0.6115  2 O 1.73-1.75
Mo12 0.0695 0.2698 0.5082  3 O 1.73-1.86
O23 0.3807 0.2568 0.3967  2 Mo 1.99, 1 O 2.16
O24 0.5237 0.3804 0.4655  1 Mo 2.02, 1 O 2.16
H10 0.6521 0.1988 0.0139  1 O 2.79, 1 Na 3.05
Mo13 0.5695 0.7616 0.2698  3 O 1.73-1.86
O25 0.0018 0.4125 0.6248  2 Mo 1.86-2.03
O26 0.3202 0.4218 0.3528  1 Mo 1.72
O27 0.3202 0.9309 0.5782  1 Mo 1.72
O28 0.1769 0.1121 0.6239  2 Mo 1.83-2.04
H11 0.9293 0.0000 0.0000  3 H 1.07
O29 0.1961 0.5612 0.7331  1 Mo 1.84
O30 0.1769 0.3761 0.4882  2 Mo 1.83-2.04
H12 0.1521 0.0139 0.8151  1 O 2.79, 1 Na 3.05
O31 0.0511 0.7290 0.1167  1 Mo 1.75
O32 0.9553 0.1734 0.7625  1 Mo 1.73
O33 0.5511 0.1167 0.3876  1 Mo 1.75
H13 0.9335 0.0645 0.9834  1 H 1.07
H14 0.1521 0.1849 0.1988  1 O 2.79, 1 Na 3.05
O34 0.8992 0.5863 0.3680  1 P 1.55
O35 0.6769 0.4882 0.1121  2 Mo 1.83-2.04
O36 0.8992 0.6320 0.2183  1 P 1.55
O37 0.2054 0.3333 0.6667  1 P 1.57
H15 0.6074 0.0154 0.7573  2 O 2.56-2.79, 1 Na 2.56
O38 0.1961 0.1719 0.4388  1 Mo 1.84
O39 0.1961 0.2669 0.8281  1 Mo 1.84
O40 0.5511 0.6124 0.7290  1 Mo 1.75
O41 0.6769 0.8879 0.3761  2 Mo 1.83-2.04
O42 0.4553 0.7625 0.5891  1 Mo 1.73
Mo14 0.3368 0.4106 0.4653  3 O 1.72-1.89
O43 0.5237 0.5345 0.9149  1 Mo 2.02, 1 O 2.16
H16 0.4335 0.9355 0.0166  1 H 1.07
H17 0.1074 0.2582 0.0154  2 O 2.56-2.79, 1 Na 2.56
O44 0.3992 0.2183 0.5863  1 P 1.55
Na4 0.2414 0.8193 0.1953  3 O 2.32-2.38, 1 H 2.56
Mo15 0.8368 0.9453 0.4106  3 O 1.72-1.89
O45 0.3807 0.6033 0.8601  2 Mo 1.99, 1 O 2.16
H18 0.6521 0.8151 0.8012  1 O 2.79, 1 Na 3.05
O46 0.4553 0.8266 0.2375  1 Mo 1.73
O47 0.3525 0.4264 0.9817  2 Mo 1.89-1.97
O48 0.3807 0.1399 0.7432  2 Mo 1.99, 1 O 2.16
Na5 0.7414 0.1807 0.8047  3 O 2.32-2.38, 1 H 2.56
O49 0.5511 0.2710 0.8833  1 Mo 1.75
H19 0.4335 0.0811 0.0645  1 H 1.07
O50 0.6961 0.7331 0.1719  1 Mo 1.84
O51 0.8525 0.4447 0.4264  2 Mo 1.89-1.97
O52 0.3992 0.3680 0.7817  1 P 1.55
Mo16 0.5695 0.5082 0.2384  3 O 1.73-1.86
O53 0.0237 0.4655 0.0851  1 Mo 2.02, 1 O 2.16
O54 0.5018 0.5875 0.3752  2 Mo 1.86-2.03
O55 0.9553 0.2375 0.4109  1 Mo 1.73
O56 0.0511 0.8833 0.6124  1 Mo 1.75
O57 0.8202 0.0691 0.4218  1 Mo 1.72
Na6 0.7414 0.6240 0.8193  3 O 2.32-2.38, 1 H 2.56
O58 0.3435 0.2265 0.9702  1 Mo 1.73
O59 0.8202 0.3528 0.9309  1 Mo 1.72
P2 0.3544 0.3333 0.6667  4 O 1.55-1.57
O60 0.7054 0.6667 0.3333  1 P 1.57
O61 0.6961 0.8281 0.5612  1 Mo 1.84
O62 0.0018 0.3752 0.7877  2 Mo 1.86-2.03
O63 0.8807 0.3967 0.1399  2 Mo 1.99, 1 O 2.16
O64 0.6961 0.4388 0.2669  1 Mo 1.84
O65 0.8525 0.9817 0.5553  2 Mo 1.89-1.97
Mo17 0.0695 0.2384 0.7302  3 O 1.73-1.86
H20 0.1074 0.7573 0.7418  2 O 2.56-2.79, 1 Na 2.56
O66 0.8435 0.7735 0.0298  1 Mo 1.73
O67 0.8525 0.5736 0.0183  2 Mo 1.89-1.97
O68 0.3435 0.7437 0.7735  1 Mo 1.73
Mo18 0.8368 0.5894 0.5347  3 O 1.72-1.89

Its MP2020-corrected energy is -6.58 eV/atom. The magnetic moment is 26.755 Bohr magnetons per cell. The calculation puts the calculated formation energy at -1.16 eV per atom. As for the space group: No. 173.


Density functional theory data (PBE with a Hubbard U) for a relaxed MgVP4O12 crystal.

Lattice parameters (Å, degrees): 7.3350 7.3350 10.2383 66.70 66.70 70.09
Closest atoms and distances in Å follow each position.
Fractional coordinates of all 36 atoms:
O1 0.3432 0.1992 0.3422  1 P 1.48
O2 0.2142 0.5021 0.5671  2 P 1.60-1.61
O3 0.0944 0.8430 0.4037  1 P 1.48
O4 0.1570 0.9056 0.0963  1 P 1.48
V1 0.5000 0.0000 0.5000  6 O 2.13-2.18
O5 0.7210 0.1884 0.4162  1 P 1.52
O6 0.6568 0.8008 0.6578  1 P 1.48
O7 0.7858 0.4979 0.4329  2 P 1.60-1.61
O8 0.2790 0.8116 0.5838  1 P 1.52
O9 0.9056 0.1570 0.5963  1 P 1.48
O10 0.8751 0.7220 0.8251  1 P 1.52
O11 0.6884 0.4655 0.8541  2 P 1.60-1.61
P1 0.6877 0.7026 0.8066  4 O 1.48-1.61
O12 0.2780 0.1249 0.6749  1 P 1.52
O13 0.5345 0.3116 0.6459  2 P 1.60-1.61
O14 0.5021 0.2142 0.0671  2 P 1.60-1.61
P2 0.7026 0.6877 0.3066  4 O 1.48-1.61
O15 0.3116 0.5345 0.1459  2 P 1.60-1.61
O16 0.8430 0.0944 0.9037  1 P 1.48
P3 0.3123 0.2974 0.1934  4 O 1.48-1.61
P4 0.2974 0.3123 0.6934  4 O 1.48-1.61
O17 0.7220 0.8751 0.3251  1 P 1.52
O18 0.4979 0.7858 0.9329  2 P 1.60-1.61
O19 0.1249 0.2780 0.1749  1 P 1.52
Mg1 0.0438 0.9562 0.7500  6 O 2.02-2.20
O20 0.1884 0.7210 0.9162  1 P 1.52
P5 0.7476 0.2718 0.5207  4 O 1.48-1.60
O21 0.1992 0.3432 0.8422  1 P 1.48
O22 0.8116 0.2790 0.0838  1 P 1.52
O23 0.4655 0.6884 0.3541  2 P 1.60-1.61
Mg2 0.9562 0.0438 0.2500  6 O 2.02-2.20
V2 0.0000 0.5000 0.0000  6 O 2.13-2.18
O24 0.8008 0.6568 0.1578  1 P 1.48
P6 0.7282 0.2524 0.9793  4 O 1.48-1.60
P7 0.2524 0.7282 0.4793  4 O 1.48-1.60
P8 0.2718 0.7476 0.0207  4 O 1.48-1.60

Its MP2020-corrected energy is -7.82 eV/atom. The magnetic moment is 6.002 Bohr magnetons per cell. The calculation puts the calculated formation energy at -2.73 eV per atom. As for the space group: No. 15.


Density functional theory data (PBE with a Hubbard U) for a relaxed Zn2CoIrO6 crystal.

Lattice parameters (Å, degrees): 5.1493 5.1332 9.0908 55.89 90.00 90.00
Closest atoms and distances in Å follow each position.
Fractional coordinates of all 20 atoms:
Co1 0.5000 0.0000 0.0000  6 O 1.93-2.00
Zn1 0.5324 0.7588 0.7489  4 O 2.01-2.05
O1 0.6810 0.2346 0.4385  1 Co 1.93, 1 Ir 1.97, 1 Zn 2.01
Zn2 0.9676 0.7588 0.2489  4 O 2.01-2.05
Ir1 0.5000 0.5000 0.5000  6 O 1.97-2.04
O2 0.8252 0.6140 0.5650  1 Co 1.94, 1 Ir 1.97, 1 Zn 2.01
O3 0.3252 0.3860 0.9350  1 Co 1.94, 1 Ir 1.97, 1 Zn 2.01
O4 0.8190 0.2346 0.9385  1 Co 1.93, 1 Ir 1.97, 1 Zn 2.01
O5 0.6748 0.6140 0.0650  1 Co 1.94, 1 Ir 1.97, 1 Zn 2.01
O6 0.3190 0.7654 0.5615  1 Co 1.93, 1 Ir 1.97, 1 Zn 2.01
Zn3 0.4676 0.2412 0.2511  4 O 2.01-2.05
O7 0.5844 0.8666 0.2476  1 Co 2.00, 2 Zn 2.03-2.05, 1 Ir 2.04
Co2 0.0000 0.0000 0.5000  6 O 1.93-2.00
O8 0.4156 0.1334 0.7524  1 Co 2.00, 2 Zn 2.03-2.05, 1 Ir 2.04
Ir2 0.0000 0.5000 0.0000  6 O 1.97-2.04
Zn4 0.0324 0.2412 0.7511  4 O 2.01-2.05
O9 0.1810 0.7654 0.0615  1 Co 1.93, 1 Ir 1.97, 1 Zn 2.01
O10 0.1748 0.3860 0.4350  1 Co 1.94, 1 Ir 1.97, 1 Zn 2.01
O11 0.9156 0.8666 0.7476  1 Co 2.00, 2 Zn 2.03-2.05, 1 Ir 2.04
O12 0.0844 0.1334 0.2524  1 Co 2.00, 2 Zn 2.03-2.05, 1 Ir 2.04

Its MP2020-corrected energy is -6.14 eV/atom. The magnetic moment is 0.424 Bohr magnetons per cell. The calculation puts the calculated formation energy at -1.32 eV per atom. As for the space group: No. 14.


Density functional theory data (PBE with a Hubbard U) for a relaxed K8Li9Mn4O16 crystal.

Lattice parameters (Å, degrees): 5.6204 8.7536 10.6736 88.99 78.57 89.63
Closest atoms and distances in Å follow each position.
Fractional coordinates of all 37 atoms:
O1 0.9009 0.6706 0.8394  1 Mn 1.93, 2 Li 1.93-1.98
O2 0.8727 0.3081 0.9039  1 Mn 1.82, 2 Li 2.01-2.03
K1 0.3421 0.5085 0.3447  4 O 2.68-2.87, 1 Li 3.00
Mn1 0.6942 0.7927 0.4302  4 O 1.80-1.87
Li1 0.6040 0.0492 0.2984  4 O 2.02-2.04
Li2 0.7993 0.0098 0.5748  4 O 1.95-2.07
K2 0.1535 0.9987 0.1519  4 O 2.71-3.03, 1 Li 3.02
K3 0.1281 0.7155 0.5996  5 O 2.65-2.96, 2 Li 2.91-2.95
O3 0.7028 0.0975 0.1071  1 Mn 1.83, 1 Li 2.04
O4 0.6357 0.4760 0.1165  1 Mn 1.86, 3 Li 1.99-2.03
O5 0.7977 0.5982 0.3994  1 Mn 1.81
O6 0.6335 0.7985 0.6084  1 Mn 1.87, 3 Li 2.05-2.07
O7 0.5521 0.1581 0.6469  1 Mn 1.80, 1 Li 1.95
O8 0.3300 0.8921 0.8805  1 Mn 1.93, 2 Li 1.97-2.08
O9 0.3653 0.1955 0.4016  1 Mn 1.80
Li3 0.3062 0.4892 0.0691  4 O 1.96-2.05
K4 0.3825 0.2190 0.9008  5 O 2.74-2.96, 2 Li 2.93-2.97
Mn2 0.2994 0.2072 0.5736  4 O 1.80-1.87
Li4 0.9019 0.5523 0.2029  4 O 1.95-2.11
Li5 0.6973 0.5093 0.9275  4 O 1.93-2.01
O10 0.8680 0.9735 0.3874  1 Mn 1.87, 3 Li 1.99-2.02
Li6 0.5852 0.7319 0.7970  4 O 1.98-2.18
Mn3 0.8070 0.2948 0.0774  4 O 1.80-1.86
O11 0.1272 0.0250 0.6141  1 Mn 1.87, 3 Li 1.97
Mn4 0.1529 0.7063 0.9342  4 O 1.85-2.00
O12 0.0584 0.3420 0.1502  1 Mn 1.80, 1 Li 1.96
O13 0.3776 0.5316 0.8761  4 Li 1.99-2.18, 1 Mn 2.00
Li7 0.3895 0.9557 0.6994  4 O 1.97-2.05
K5 0.6046 0.7825 0.1021  4 O 2.69-2.82, 1 Li 2.93
O14 0.1465 0.6906 0.1083  1 Mn 1.85, 2 Li 1.95-1.99
K6 0.8795 0.2796 0.3968  5 O 2.67-2.98, 2 Li 2.89-2.98
O15 0.4470 0.8456 0.3539  1 Mn 1.80, 1 Li 1.93
Li8 0.1062 0.4578 0.7961  4 O 2.01-2.19
K7 0.6703 0.4704 0.6447  6 O 2.74-2.97, 1 Li 2.81
O16 0.1979 0.4035 0.6050  1 Mn 1.82
K8 0.8644 0.0105 0.8507  4 O 2.66-2.88
Li9 0.1977 0.9874 0.4291  4 O 1.93-2.05

Its MP2020-corrected energy is -5.71 eV/atom. The magnetic moment is 13.000 Bohr magnetons per cell. The calculation puts the calculated formation energy at -1.88 eV per atom. As for the space group: No. 1.